A geometry-optimized ErCoB4 structure. Source: the Materials Project, functional PBE.

Output
Mass density (g cm⁻³): 7.9
DFT formation energy (meV/atom): -615
Crystal system: orthorhombic

Unit cell a=5.886 b=11.389 c=3.368 alpha=90.00 beta=90.00 gamma=90.00
Space group Pbam (No. 55)
Symmetry-distinct sites (fractional):
Er 0.127 0.150 0.000 x4
Co 0.135 0.410 0.000 x4
B 0.024 0.691 0.500 x4
B 0.112 0.546 0.500 x4
B 0.139 0.968 0.500 x4
B 0.218 0.815 0.500 x4

A geometry-optimized AsS3N2F6 structure. Source: the Materials Project, functional PBE.

Output
Polymorph energy (0 for the lowest one) (eV/atom): 0.000
Mass density (g cm⁻³): 2.5
DFT formation energy (meV/atom): -1330
Crystal system: monoclinic
Magnetization (Bohr magnetons per cell): 0.00

Unit cell a=8.632 b=8.503 c=11.417 alpha=90.00 beta=95.68 gamma=90.00
Space group P2_1/c (No. 14)
Symmetry-distinct sites (fractional):
As 0.232 0.105 0.373 x4
S 0.149 0.569 0.359 x4
S 0.354 0.631 0.556 x4
S 0.462 0.650 0.387 x4
N 0.184 0.587 0.497 x4
N 0.306 0.610 0.305 x4
F 0.059 0.198 0.407 x4
F 0.129 0.566 0.823 x4
F 0.206 0.187 0.230 x4
F 0.264 0.028 0.517 x4
F 0.341 0.219 0.922 x4
F 0.409 0.020 0.337 x4

A geometry-optimized NaTiAlSiS2O12 structure. Source: the Materials Project, functional PBE.

Output
Mass density (g cm⁻³): 2.7
DFT formation energy (meV/atom): -2612
Crystal system: monoclinic
Magnetization (Bohr magnetons per cell): 0.00

Unit cell a=14.818 b=8.542 c=22.231 alpha=90.00 beta=90.02 gamma=90.00
Space group Cc (No. 9)
Symmetry-distinct sites (fractional):
Na 0.000 0.001 0.000 x4
Na 0.165 0.495 0.666 x4
Na 0.330 0.007 0.833 x4
Ti 0.170 0.483 0.814 x4
Ti 0.317 0.003 0.980 x4
Ti 0.495 0.499 0.647 x4
Al 0.160 0.499 0.520 x4
Al 0.326 0.019 0.687 x4
Al 0.498 0.495 0.854 x4
Si 0.156 0.211 0.921 x4
Si 0.184 0.155 0.587 x4
Si 0.357 0.350 0.754 x4
S 0.020 0.355 0.418 x4
S 0.142 0.143 0.252 x4
S 0.308 0.359 0.418 x4
S 0.328 0.286 0.086 x4
S 0.474 0.140 0.585 x4
S 0.493 0.211 0.251 x4
O 0.010 0.183 0.411 x4
O 0.013 0.194 0.697 x4
O 0.060 0.425 0.363 x4
O 0.065 0.428 0.078 x4
O 0.072 0.098 0.907 x4
O 0.074 0.392 0.758 x4
O 0.076 0.379 0.472 x4
O 0.085 0.068 0.594 x4
O 0.085 0.117 0.197 x4
O 0.102 0.069 0.306 x4
O 0.147 0.324 0.978 x4
O 0.148 0.315 0.258 x4
O 0.174 0.339 0.573 x4
O 0.179 0.318 0.860 x4
O 0.230 0.067 0.526 x4
O 0.233 0.076 0.244 x4
O 0.247 0.115 0.642 x4
O 0.248 0.387 0.078 x4
O 0.251 0.106 0.925 x4
O 0.251 0.377 0.364 x4
O 0.256 0.436 0.759 x4
O 0.267 0.428 0.472 x4
O 0.316 0.190 0.140 x4
O 0.320 0.186 0.424 x4
O 0.344 0.165 0.744 x4
O 0.346 0.192 0.031 x4
O 0.398 0.430 0.411 x4
O 0.400 0.435 0.693 x4
O 0.410 0.386 0.091 x4
O 0.412 0.114 0.242 x4
O 0.417 0.391 0.811 x4
O 0.419 0.118 0.530 x4
O 0.430 0.072 0.925 x4
O 0.434 0.069 0.639 x4
O 0.480 0.307 0.306 x4
O 0.483 0.314 0.591 x4

Number 1: DFT total energy -7.0139 eV per atom. Number 2: DFT total energy -4.8677 eV per atom. Number 3: DFT total energy -6.9337 eV per atom.